(1)
Compound: MgNi4As4S4
Source: the Materials Project database
Functional: PBE
Structure: optimized geometry

Cell lengths 5.939, 5.939, 5.939 Å; angles 89.11, 89.11, 89.11 degrees
Fractional coordinates of all 13 atoms:
Mg1 0.208 0.208 0.208
Ni1 0.484 0.524 0.003
Ni2 0.524 0.003 0.484
Ni3 0.973 0.973 0.973
Ni4 0.003 0.484 0.524
As1 0.391 0.106 0.841
As2 0.841 0.391 0.106
As3 0.642 0.642 0.642
As4 0.106 0.841 0.391
S1 0.606 0.895 0.106
S2 0.106 0.606 0.895
S3 0.895 0.106 0.606
S4 0.423 0.423 0.423

Calculated values
As for the crystal system: trigonal. As for the space group: R3. Its theoretical density is 5.45 g/cm³.

(2)
Compound: TaTlSe3
Source: the Materials Project database
Functional: PBE
Structure: optimized geometry

Cell lengths 3.651, 9.842, 15.346 Å; angles 90.00, 90.00, 90.00 degrees
Fractional coordinates of all 20 atoms:
Ta1 0.250 0.158 0.428
Ta2 0.750 0.842 0.572
Ta3 0.250 0.658 0.072
Ta4 0.750 0.342 0.928
Tl1 0.750 0.999 0.172
Tl2 0.250 0.001 0.828
Tl3 0.750 0.499 0.328
Tl4 0.250 0.501 0.672
Se1 0.250 0.029 0.596
Se2 0.750 0.971 0.404
Se3 0.250 0.529 0.904
Se4 0.750 0.471 0.096
Se5 0.250 0.244 0.281
Se6 0.750 0.756 0.719
Se7 0.250 0.744 0.219
Se8 0.750 0.256 0.781
Se9 0.250 0.189 0.998
Se10 0.750 0.811 0.002
Se11 0.250 0.689 0.502
Se12 0.750 0.311 0.498

Calculated values
As for the crystal system: orthorhombic. As for the space group: Pnma. Its theoretical density is 7.50 g/cm³.

Sequential ΔE_f output: -0.32 -0.92 eV per atom